First-principles (PBE with a Hubbard U) data for an optimized crystal structure of MnSnH16C6S3O11, as listed in the Materials Project database.

Calculated total energy (eV per atom): -5.752
Theoretical density (Mg/m³): 2.0
Formation energy (kJ/mol of formula units): -3826

abc: 10.052 10.837 16.187
angles: 90.00 96.35 90.00
Space group P2_1/c (No. 14)
Inequivalent atoms, fractional coordinates:
Mn: 0.101 0.228 0.198 x4
Sn: 0.314 0.748 0.082 x4
H: 0.010 0.728 0.962 x4
H: 0.017 0.005 0.781 x4
H: 0.035 0.037 0.649 x4
H: 0.055 0.512 0.636 x4
H: 0.098 0.167 0.023 x4
H: 0.144 0.156 0.367 x4
H: 0.170 0.199 0.870 x4
H: 0.192 0.026 0.677 x4
H: 0.268 0.124 0.520 x4
H: 0.274 0.611 0.366 x4
H: 0.284 0.552 0.777 x4
H: 0.354 0.683 0.831 x4
H: 0.355 0.169 0.139 x4
H: 0.373 0.030 0.466 x4
H: 0.388 0.229 0.227 x4
H: 0.390 0.005 0.906 x4
C: 0.177 0.542 0.972 x4
C: 0.187 0.719 0.741 x4
C: 0.226 0.526 0.476 x4
C: 0.299 0.029 0.511 x4
C: 0.315 0.648 0.769 x4
C: 0.331 0.574 0.423 x4
S: 0.378 0.530 0.110 x4
S: 0.448 0.651 0.702 x4
S: 0.448 0.690 0.468 x4
O: 0.057 0.028 0.190 x4
O: 0.075 0.233 0.062 x4
O: 0.102 0.012 0.416 x4
O: 0.108 0.735 0.795 x4
O: 0.109 0.063 0.693 x4
O: 0.156 0.653 0.997 x4
O: 0.161 0.742 0.166 x4
O: 0.165 0.072 0.952 x4
O: 0.168 0.228 0.334 x4
O: 0.199 0.586 0.541 x4
O: 0.315 0.192 0.189 x4